# 1
Entry from the Materials Project: crystalline Mg6SnSb at its relaxed geometry (PBE-GGA).

Results
density	3.4	g/cm³
offset from the most stable computed form	20	meV per atom
DFT formation energy	-89	meV per atom

```
16
Lattice="5.262 0.000 0.000 0.000 6.522 0.000 0.000 0.000 11.000" Properties=species:S:1:pos:R:3 pbc="T T T"
Mg 0.000 4.890 0.921
Mg 0.000 1.633 0.921
Mg 2.631 4.889 10.090
Mg 2.631 1.633 10.090
Mg 2.631 3.261 1.827
Mg 2.631 3.261 7.330
Mg 0.000 1.629 6.421
Mg 0.000 4.894 6.421
Mg 2.631 1.628 4.590
Mg 2.631 4.895 4.590
Mg 2.631 0.000 7.327
Mg 2.631 0.000 1.830
Sn 0.000 3.261 3.661
Sn 0.000 0.000 9.161
Sb 0.000 3.261 9.161
Sb 0.000 0.000 3.661
```



# 2
Entry from the Materials Project: crystalline Mg6SnSb at its relaxed geometry (PBE-GGA).

Results
density	3.4	g/cm³
offset from the most stable computed form	0	meV per atom
DFT formation energy	-109	meV per atom

```
16
Lattice="-1.501 -4.515 2.375 4.702 0.491 3.905 -6.696 6.067 7.300" Properties=species:S:1:pos:R:3 pbc="T T T"
Mg 0.573 0.670 1.636
Mg 2.921 0.915 3.585
Mg -2.202 1.996 2.401
Mg 0.017 0.607 7.117
Mg -2.327 0.362 5.171
Mg -1.913 -1.204 2.454
Mg -0.423 3.949 7.239
Mg -2.778 3.703 5.283
Mg -3.199 5.275 8.004
Mg -5.682 3.395 8.815
Mg -3.323 3.641 10.773
Mg -2.909 2.074 8.057
Sn -0.035 2.408 4.554
Sn -5.734 5.196 6.252
Sb 0.678 -1.176 4.146
Sb -5.021 1.612 5.844
```



# 3
Entry from the Materials Project: crystalline SrMg2Sb2 at its relaxed geometry (PBE-GGA).

Results
density	4.1	g/cm³
SG	P-3m1
DFT formation energy	-828	meV per atom

```
5
Lattice="-0.003 4.044 -2.501 1.031 0.076 4.641 7.637 -1.033 -1.680" Properties=species:S:1:pos:R:3 pbc="T T T"
Sr 0.000 0.000 0.000
Mg 5.136 2.072 -1.175
Mg 3.529 1.014 1.635
Sb 6.367 0.630 1.011
Sb 2.298 2.456 -0.551
```



# 4
Entry from the Materials Project: crystalline Mg6TiSb at its relaxed geometry (PBE-GGA).

Results
density	3.0	g/cm³
offset from the most stable computed form	17	meV per atom
DFT formation energy	-17	meV per atom

```
16
Lattice="5.264 0.000 0.000 0.000 6.003 0.000 0.000 0.000 11.045" Properties=species:S:1:pos:R:3 pbc="T T T"
Mg 0.000 1.489 4.602
Mg 0.000 4.514 4.602
Mg 2.632 4.551 0.915
Mg 2.632 1.452 0.915
Mg 2.632 0.000 3.642
Mg 2.632 3.001 3.706
Mg 0.000 4.491 10.125
Mg 0.000 1.512 10.125
Mg 2.632 1.550 6.437
Mg 2.632 4.453 6.437
Mg 2.632 3.001 9.164
Mg 2.632 0.000 9.229
Ti 0.000 0.000 1.858
Ti 0.000 3.001 7.380
Sb 0.000 3.001 1.848
Sb 0.000 0.000 7.371
```